Record 1
# MgH8C6S2N2O8, optimized geometry, DFT PBE
# Density (g/cm³): 1.81
# E_form (kJ per mole of atoms): -102
# Total moment (μB per formula unit): 0.00
# DFT total energy (eV per cell): -170.7
data_MgH8C6S2N2O8
_cell_length_a 5.155
_cell_length_b 7.448
_cell_length_c 8.229
_cell_angle_alpha 85.07
_cell_angle_beta 81.97
_cell_angle_gamma 72.22
_symmetry_space_group_name_H-M 'P 1'
_symmetry_Int_Tables_number 1
loop_
_symmetry_equiv_pos_as_xyz
'x,y,z'
loop_
_atom_site_label
_atom_site_fract_x
_atom_site_fract_y
_atom_site_fract_z
O1 0.836 0.879 0.812
O2 0.247 0.403 0.136
O3 0.714 0.935 0.184
O4 0.280 0.748 0.050
O5 0.164 0.121 0.188
O6 0.286 0.065 0.816
O7 0.753 0.597 0.864
O8 0.720 0.252 0.950
C1 0.109 0.298 0.206
C2 0.891 0.702 0.794
C3 0.480 0.416 0.538
C4 0.520 0.584 0.462
C5 0.138 0.618 0.675
C6 0.862 0.382 0.325
H1 0.239 0.631 0.097
H2 0.513 0.993 0.181
H3 0.461 0.703 0.981
H4 0.539 0.297 0.019
H5 0.487 0.007 0.819
H6 0.761 0.369 0.903
H7 0.740 0.804 0.230
H8 0.260 0.196 0.770
S1 0.728 0.226 0.453
S2 0.272 0.774 0.547
N1 0.264 0.435 0.657
N2 0.736 0.565 0.343
Mg1 0.000 0.000 0.000

---

Record 2
# NaMgH2C3O7, optimized geometry, DFT PBE
# Density (g/cm³): 1.96
# E_form (kJ per mole of atoms): -179
# Total moment (μB per formula unit): 0.01
# DFT total energy (eV per cell): -373.0
data_NaMgH2C3O7
_cell_length_a 5.914
_cell_length_b 15.830
_cell_length_c 7.329
_cell_angle_alpha 90.00
_cell_angle_beta 102.59
_cell_angle_gamma 90.00
_symmetry_space_group_name_H-M 'P 1'
_symmetry_Int_Tables_number 1
loop_
_symmetry_equiv_pos_as_xyz
'x,y,z'
loop_
_atom_site_label
_atom_site_fract_x
_atom_site_fract_y
_atom_site_fract_z
O1 0.586 0.342 0.187
O2 0.391 0.521 0.260
O3 0.401 0.396 0.512
O4 0.414 0.842 0.313
O5 0.599 0.896 0.988
O6 0.837 0.777 0.263
O7 0.143 0.702 0.213
O8 0.857 0.202 0.287
O9 0.163 0.277 0.237
O10 0.609 0.021 0.240
O11 0.916 0.420 0.218
O12 0.809 0.588 0.073
O13 0.414 0.658 0.813
O14 0.191 0.412 0.927
O15 0.084 0.920 0.282
O16 0.586 0.158 0.687
O17 0.191 0.088 0.427
O18 0.857 0.298 0.787
O19 0.609 0.479 0.740
O20 0.084 0.580 0.782
O21 0.916 0.080 0.718
O22 0.143 0.798 0.713
O23 0.837 0.723 0.763
O24 0.163 0.223 0.737
O25 0.599 0.604 0.488
O26 0.809 0.912 0.573
O27 0.401 0.104 0.012
O28 0.391 0.979 0.760
C1 0.497 0.536 0.428
C2 0.503 0.464 0.572
C3 0.196 0.851 0.284
C4 0.048 0.731 0.751
C5 0.952 0.231 0.749
C6 0.952 0.269 0.249
C7 0.804 0.149 0.716
C8 0.497 0.964 0.928
C9 0.048 0.769 0.251
C10 0.503 0.036 0.072
C11 0.196 0.649 0.784
C12 0.804 0.351 0.216
H1 0.174 0.030 0.377
H2 0.949 0.878 0.635
H3 0.826 0.530 0.123
H4 0.051 0.122 0.365
H5 0.174 0.470 0.877
H6 0.051 0.378 0.865
H7 0.826 0.970 0.623
H8 0.949 0.622 0.135
Mg1 0.723 0.602 0.782
Mg2 0.277 0.398 0.218
Mg3 0.277 0.102 0.718
Mg4 0.723 0.898 0.282
Na1 0.469 0.321 0.797
Na2 0.469 0.179 0.297
Na3 0.531 0.821 0.703
Na4 0.531 0.679 0.203

---

Record 3
# MgH6CO6, optimized geometry, DFT PBE
# Density (g/cm³): 1.78
# E_form (kJ per mole of atoms): -162
# DFT total energy (eV per cell): -321.1
data_MgH6CO6
_cell_length_a 5.440
_cell_length_b 7.796
_cell_length_c 14.398
_cell_angle_alpha 57.71
_cell_angle_beta 90.00
_cell_angle_gamma 90.00
_symmetry_space_group_name_H-M 'P 1'
_symmetry_Int_Tables_number 1
loop_
_symmetry_equiv_pos_as_xyz
'x,y,z'
loop_
_atom_site_label
_atom_site_fract_x
_atom_site_fract_y
_atom_site_fract_z
O1 0.684 0.730 0.518
O2 0.911 0.321 0.440
O3 0.096 0.325 0.153
O4 0.816 0.730 0.018
O5 0.407 0.869 0.646
O6 0.706 0.550 0.192
O7 0.157 0.877 0.337
O8 0.411 0.679 0.060
O9 0.294 0.450 0.808
O10 0.404 0.325 0.653
O11 0.343 0.877 0.837
O12 0.904 0.675 0.847
O13 0.089 0.679 0.560
O14 0.206 0.450 0.308
O15 0.843 0.123 0.663
O16 0.657 0.123 0.163
O17 0.794 0.550 0.692
O18 0.316 0.270 0.482
O19 0.093 0.869 0.146
O20 0.593 0.131 0.354
O21 0.907 0.131 0.854
O22 0.589 0.321 0.940
O23 0.184 0.270 0.982
O24 0.596 0.675 0.347
H1 0.614 0.199 0.083
H2 0.888 0.134 0.785
H3 0.847 0.998 0.914
H4 0.347 0.002 0.586
H5 0.064 0.745 0.837
H6 0.886 0.199 0.583
H7 0.171 0.321 0.091
H8 0.829 0.679 0.909
H9 0.329 0.321 0.591
H10 0.112 0.866 0.215
H11 0.936 0.255 0.163
H12 0.199 0.015 0.318
H13 0.612 0.134 0.285
H14 0.114 0.801 0.417
H15 0.653 0.998 0.414
H16 0.436 0.745 0.337
H17 0.388 0.866 0.715
H18 0.153 0.002 0.086
H19 0.801 0.985 0.682
H20 0.301 0.015 0.818
H21 0.564 0.255 0.663
H22 0.699 0.985 0.182
H23 0.671 0.679 0.409
H24 0.386 0.801 0.917
C1 0.638 0.654 0.089
C2 0.138 0.346 0.411
C3 0.362 0.346 0.911
C4 0.862 0.654 0.589
Mg1 0.589 0.402 0.351
Mg2 0.911 0.402 0.851
Mg3 0.089 0.598 0.149
Mg4 0.411 0.598 0.649

---

Record 4
# MgH2C2O4, optimized geometry, DFT PBE
# Density (g/cm³): 1.64
# E_form (kJ per mole of atoms): -161
# Total moment (μB per formula unit): 0.00
# DFT total energy (eV per cell): -1413.6
data_MgH2C2O4
_cell_length_a 14.238
_cell_length_b 7.655
_cell_length_c 25.466
_cell_angle_alpha 90.00
_cell_angle_beta 90.00
_cell_angle_gamma 90.00
_symmetry_space_group_name_H-M 'P 1'
_symmetry_Int_Tables_number 1
loop_
_symmetry_equiv_pos_as_xyz
'x,y,z'
loop_
_atom_site_label
_atom_site_fract_x
_atom_site_fract_y
_atom_site_fract_z
C1 0.413 0.456 0.593
C2 0.167 0.536 0.498
C3 0.987 0.983 0.065
C4 0.913 0.544 0.593
C5 0.723 0.795 0.368
C6 0.651 0.342 0.667
C7 0.513 0.983 0.565
C8 0.744 0.869 0.687
C9 0.493 0.126 0.404
C10 0.993 0.874 0.404
C11 0.727 0.314 0.310
C12 0.507 0.874 0.904
C13 0.398 0.653 0.428
C14 0.752 0.981 0.032
C15 0.223 0.205 0.368
C16 0.248 0.019 0.532
C17 0.773 0.314 0.810
C18 0.102 0.653 0.928
C19 0.333 0.536 0.998
C20 0.527 0.204 0.223
C21 0.244 0.131 0.687
C22 0.277 0.205 0.868
C23 0.977 0.682 0.782
C24 0.349 0.658 0.167
C25 0.023 0.318 0.282
C26 0.477 0.318 0.782
C27 0.833 0.464 0.998
C28 0.473 0.796 0.723
C29 0.777 0.795 0.868
C30 0.587 0.544 0.093
C31 0.973 0.204 0.723
C32 0.849 0.342 0.167
C33 0.602 0.347 0.928
C34 0.151 0.658 0.667
C35 0.013 0.017 0.565
C36 0.273 0.686 0.810
C37 0.667 0.464 0.498
C38 0.756 0.869 0.187
C39 0.087 0.456 0.093
C40 0.227 0.686 0.310
C41 0.487 0.017 0.065
C42 0.898 0.347 0.428
C43 0.027 0.796 0.223
C44 0.748 0.981 0.532
C45 0.256 0.131 0.187
C46 0.523 0.682 0.282
C47 0.007 0.126 0.904
C48 0.252 0.019 0.032
O1 0.402 0.784 0.156
O2 0.086 0.719 0.193
O3 0.145 0.381 0.508
O4 0.796 0.983 0.988
O5 0.403 0.379 0.637
O6 0.505 0.889 0.525
O7 0.544 0.014 0.104
O8 0.162 0.284 0.397
O9 0.012 0.282 0.889
O10 0.652 0.214 0.934
O11 0.189 0.680 0.356
O12 0.005 0.111 0.525
O13 0.751 0.950 0.874
O14 0.749 0.950 0.374
O15 0.260 0.656 0.161
O16 0.456 0.986 0.604
O17 0.284 0.574 0.775
O18 0.151 0.616 0.455
O19 0.469 0.436 0.816
O20 0.069 0.950 0.420
O21 0.902 0.216 0.156
O22 0.152 0.786 0.934
O23 0.319 0.052 0.671
O24 0.262 0.887 0.560
O25 0.942 0.678 0.736
O26 0.349 0.616 0.955
O27 0.500 0.951 0.719
O28 0.914 0.281 0.693
O29 0.044 0.986 0.104
O30 0.242 0.285 0.704
O31 0.000 0.049 0.719
O32 0.098 0.784 0.656
O33 0.216 0.574 0.275
O34 0.431 0.950 0.920
O35 0.238 0.887 0.060
O36 0.488 0.282 0.389
O37 0.181 0.052 0.171
O38 0.740 0.344 0.661
O39 0.988 0.348 0.430
O40 0.296 0.017 0.988
O41 0.738 0.113 0.060
O42 0.758 0.715 0.204
O43 0.569 0.050 0.420
O44 0.258 0.285 0.204
O45 0.849 0.384 0.955
O46 0.760 0.344 0.161
O47 0.716 0.426 0.275
O48 0.645 0.619 0.508
O49 0.995 0.889 0.025
O50 0.969 0.564 0.816
O51 0.903 0.621 0.637
O52 0.097 0.379 0.137
O53 0.887 0.391 0.583
O54 0.784 0.426 0.775
O55 0.249 0.050 0.374
O56 0.348 0.786 0.434
O57 0.387 0.609 0.583
O58 0.311 0.680 0.856
O59 0.613 0.391 0.083
O60 0.689 0.320 0.356
O61 0.338 0.284 0.897
O62 0.598 0.216 0.656
O63 0.848 0.214 0.434
O64 0.855 0.619 0.008
O65 0.704 0.983 0.488
O66 0.031 0.436 0.316
O67 0.512 0.348 0.930
O68 0.662 0.716 0.397
O69 0.811 0.320 0.856
O70 0.742 0.715 0.704
O71 0.500 0.049 0.219
O72 0.495 0.111 0.025
O73 0.558 0.678 0.236
O74 0.956 0.014 0.604
O75 0.251 0.050 0.874
O76 0.204 0.017 0.488
O77 0.931 0.050 0.920
O78 0.597 0.621 0.137
O79 0.240 0.656 0.661
O80 0.113 0.609 0.083
O81 0.512 0.718 0.889
O82 0.988 0.718 0.389
O83 0.762 0.113 0.560
O84 0.681 0.948 0.171
O85 0.058 0.322 0.236
O86 0.414 0.719 0.693
O87 0.488 0.652 0.430
O88 0.531 0.564 0.316
O89 0.651 0.384 0.455
O90 0.000 0.951 0.219
O91 0.442 0.322 0.736
O92 0.012 0.652 0.930
O93 0.819 0.948 0.671
O94 0.838 0.716 0.897
O95 0.586 0.281 0.193
O96 0.355 0.381 0.008
H1 0.747 0.719 0.835
H2 0.227 0.148 0.046
H3 0.053 0.379 0.061
H4 0.880 0.462 0.184
H5 0.753 0.719 0.335
H6 0.228 0.801 0.803
H7 0.519 0.200 0.792
H8 0.481 0.800 0.292
H9 0.000 0.718 0.256
H10 0.136 0.526 0.919
H11 0.178 0.055 0.685
H12 0.074 0.926 0.568
H13 0.636 0.474 0.919
H14 0.571 0.953 0.905
H15 0.947 0.621 0.561
H16 0.429 0.047 0.405
H17 0.704 0.387 0.529
H18 0.981 0.200 0.292
H19 0.322 0.055 0.185
H20 0.678 0.945 0.685
H21 0.500 0.282 0.256
H22 0.247 0.281 0.835
H23 0.728 0.199 0.803
H24 0.500 0.718 0.756
H25 0.553 0.621 0.061
H26 0.204 0.613 0.529
H27 0.620 0.462 0.684
H28 0.574 0.074 0.568
H29 0.773 0.852 0.546
H30 0.380 0.538 0.184
H31 0.296 0.613 0.029
H32 0.019 0.800 0.792
H33 0.273 0.148 0.546
H34 0.796 0.387 0.029
H35 0.926 0.074 0.068
H36 0.000 0.282 0.756
H37 0.772 0.199 0.303
H38 0.447 0.379 0.561
H39 0.864 0.474 0.419
H40 0.929 0.953 0.405
H41 0.727 0.852 0.046
H42 0.071 0.047 0.905
H43 0.426 0.926 0.068
H44 0.120 0.538 0.684
H45 0.253 0.281 0.335
H46 0.364 0.526 0.419
H47 0.272 0.801 0.303
H48 0.822 0.945 0.185
Mg1 0.208 0.845 0.423
Mg2 0.159 0.823 0.125
Mg3 0.089 0.179 0.464
Mg4 0.708 0.155 0.423
Mg5 0.659 0.177 0.125
Mg6 0.589 0.821 0.464
Mg7 0.411 0.179 0.964
Mg8 0.919 0.487 0.887
Mg9 0.841 0.177 0.625
Mg10 0.835 0.509 0.705
Mg11 0.335 0.491 0.705
Mg12 0.665 0.509 0.205
Mg13 0.419 0.513 0.887
Mg14 0.292 0.845 0.923
Mg15 0.581 0.487 0.387
Mg16 0.341 0.823 0.625
Mg17 0.165 0.491 0.205
Mg18 0.960 0.847 0.670
Mg19 0.792 0.155 0.923
Mg20 0.911 0.821 0.964
Mg21 0.540 0.847 0.170
Mg22 0.081 0.513 0.387
Mg23 0.460 0.153 0.670
Mg24 0.040 0.153 0.170